Record 1
# DyNiGe3, relaxed, DFT r²SCAN
data_DyNiGe3
_space_group_name_H-M_alt 'C m m m'
_space_group_IT_number 65
_space_group_name_Hall '-C 2 2'
_cell_length_a 4.058
_cell_length_b 21.470
_cell_length_c 4.075
_cell_angle_alpha 90.00
_cell_angle_beta 90.00
_cell_angle_gamma 90.00
loop_
_atom_site_label
_atom_site_fract_x
_atom_site_fract_y
_atom_site_fract_z
Dy1 0.000 0.169 0.000
Ni1 0.000 0.390 0.500
Ge1 0.000 0.057 0.500
Ge2 0.000 0.284 0.500
Ge3 0.000 0.443 0.000
# energy of formation: -0.610 eV per atom
# total moment: 0.0 Bohr magnetons per cell

***

Record 2
# Rb2PuCl4O2, relaxed, DFT r²SCAN
data_Rb2PuCl4O2
_space_group_name_H-M_alt 'C 1 2/m 1'
_space_group_IT_number 12
_cell_length_a 11.549
_cell_length_b 7.556
_cell_length_c 5.582
_cell_angle_alpha 90.00
_cell_angle_beta 95.52
_cell_angle_gamma 90.00
loop_
_space_group_symop_operation_xyz
'x,y,z'
'-x,-y,-z'
'-x,y,-z'
'x,-y,z'
'x+1/2,y+1/2,z'
'-x+1/2,-y+1/2,-z'
'-x+1/2,y+1/2,-z'
'x+1/2,-y+1/2,z'
loop_
_atom_site_label
_atom_site_fract_x
_atom_site_fract_y
_atom_site_fract_z
Rb1 0.158 0.000 0.292
Pu1 0.000 0.500 0.000
Cl1 0.107 0.244 0.780
O1 0.118 0.500 0.224
# energy of formation: -2.261 eV per atom
# total moment: 4.0 Bohr magnetons per cell

***

Record 3
# Cs2RbScCl6, relaxed, DFT r²SCAN
data_Cs2RbScCl6
_space_group_name_H-M_alt 'F m -3 m'
_space_group_IT_number 225
_space_group_name_Hall '-F 4 2 3'
_cell_length_a 11.150
_cell_length_b 11.150
_cell_length_c 11.150
_cell_angle_alpha 90.00
_cell_angle_beta 90.00
_cell_angle_gamma 90.00
loop_
_atom_site_label
_atom_site_fract_x
_atom_site_fract_y
_atom_site_fract_z
Cs1 0.250 0.250 0.250
Rb1 0.000 0.000 0.000
Sc1 0.000 0.000 0.500
Cl1 0.000 0.000 0.277
# energy of formation: -2.310 eV per atom
# total moment: 0.0 Bohr magnetons per cell

***

Record 4
# SiO2, relaxed, DFT r²SCAN
data_SiO2
_space_group_name_H-M_alt 'I m a 2'
_space_group_IT_number 46
_cell_length_a 9.879
_cell_length_b 8.516
_cell_length_c 5.101
_cell_angle_alpha 90.00
_cell_angle_beta 90.00
_cell_angle_gamma 90.00
loop_
_space_group_symop_operation_xyz
'x,y,z'
'-x,-y,z'
'-x+1/2,y,z'
'x+1/2,-y,z'
'x+1/2,y+1/2,z+1/2'
'-x+1/2,-y+1/2,z+1/2'
'-x,y+1/2,z+1/2'
'x,-y+1/2,z+1/2'
loop_
_atom_site_label
_atom_site_fract_x
_atom_site_fract_y
_atom_site_fract_z
Si1 0.093 0.149 0.000
O1 0.000 0.000 0.062
O2 0.061 0.213 0.709
O3 0.250 0.098 0.024
# energy of formation: -3.020 eV per atom
# total moment: 0.0 Bohr magnetons per cell